ZnS, optimized geometry, DFT PBE; formation energy from the elements = -0.663 eV per atom; calculated total energy = -3.11 eV per atom
1.0
13.020 0.522 0.184
0.541 13.474 0.828
0.194 0.788 14.478
Zn S
50 50
direct
0.558 0.951 0.376
0.147 0.610 0.625
0.385 0.667 0.470
0.924 0.322 0.278
0.355 0.559 0.933
0.244 0.003 0.688
0.739 0.096 0.238
0.654 0.533 0.448
0.082 0.413 0.802
0.392 0.226 0.528
0.027 0.890 0.235
0.136 0.004 0.277
0.324 0.842 0.013
0.866 0.000 0.019
0.033 0.262 0.042
0.189 0.719 0.011
0.074 0.158 0.753
0.621 0.358 0.193
0.878 0.299 0.806
0.513 0.002 0.602
0.642 0.772 0.487
0.397 0.451 0.346
0.611 0.606 0.926
0.374 0.987 0.891
0.648 0.049 0.775
0.652 0.301 0.410
0.789 0.589 0.168
0.976 0.051 0.872
0.862 0.628 0.571
0.887 0.109 0.718
0.232 0.035 0.438
0.571 0.759 0.056
0.999 0.829 0.721
0.198 0.237 0.285
0.443 0.742 0.253
0.209 0.538 0.111
0.496 0.426 0.084
0.107 0.795 0.470
0.838 0.912 0.883
0.666 0.259 0.624
0.159 0.402 0.531
0.194 0.118 0.937
0.192 0.894 0.900
0.942 0.593 0.363
0.175 0.642 0.238
0.704 0.879 0.197
0.848 0.419 0.952
0.338 0.253 0.921
0.914 0.358 0.521
0.811 0.697 0.923
0.185 0.570 0.943
0.569 0.189 0.522
0.242 0.139 0.770
0.998 0.720 0.606
0.729 0.605 0.683
0.287 0.078 0.289
0.483 0.031 0.757
0.644 0.940 0.512
0.956 0.773 0.881
0.728 0.196 0.765
0.316 0.389 0.112
0.973 0.240 0.426
0.171 0.864 0.750
0.593 0.669 0.625
0.579 0.451 0.331
0.084 0.000 0.994
0.920 0.499 0.242
0.603 0.493 0.822
0.152 0.301 0.927
0.738 0.379 0.525
0.130 0.259 0.441
0.771 0.550 0.017
0.519 0.562 0.557
0.963 0.262 0.666
0.192 0.450 0.683
0.910 0.467 0.806
0.357 0.104 0.004
0.593 0.015 0.229
0.049 0.726 0.327
0.852 0.967 0.178
0.770 0.659 0.429
0.670 0.719 0.191
0.340 0.059 0.556
0.478 0.430 0.896
0.339 0.621 0.321
0.079 0.967 0.450
0.473 0.605 0.034
0.251 0.726 0.555
0.997 0.503 0.503
0.337 0.387 0.494
0.646 0.778 0.909
0.753 0.912 0.741
0.753 0.252 0.276
0.440 0.854 0.122
0.433 0.332 0.809
0.341 0.335 0.251
0.875 0.246 0.972
0.875 0.962 0.653
0.490 0.796 0.392
0.049 0.233 0.196